Entry 1:
# Hg6Cl3O2

An optimized crystal structure of Hg6Cl3O2 (GGA-PBE, the Materials Project database).

ΔE_f: -0.424 eV per atom
Uncorrected energy: -164.46 eV per cell
Density: 8.14 g/cm3
Space group: Ia-3d (230)

Cell lengths 14.1676, 14.1676, 14.1676 Å; angles 109.47, 109.47, 109.47 degrees
Last column: nearest neighbours and their distance in Å.
Element x y z (fractional)
Hg 0.1581 0.4781 0.6603  1 O 2.17
Hg 0.3178 0.3200 0.4781  1 O 2.17
Hg 0.0022 0.1822 0.6603  1 O 2.17
Hg 0.6800 0.6581 0.9978  1 O 2.17
Hg 0.6603 0.1581 0.4781  1 O 2.17
Hg 0.3397 0.8419 0.5219  1 O 2.17
Hg 0.1822 0.6603 0.0022  1 O 2.17
Hg 0.5022 0.1603 0.6822  1 O 2.17
Hg 0.1603 0.6822 0.5022  1 O 2.17
Hg 0.3200 0.4781 0.3178  1 O 2.17
Hg 0.6581 0.1603 0.9781  1 O 2.17
Hg 0.0219 0.1800 0.1822  1 O 2.17
Hg 0.3419 0.0022 0.3200  1 O 2.17
Hg 0.1822 0.0219 0.1800  1 O 2.17
Hg 0.8178 0.3397 0.9978  1 O 2.17
Hg 0.6822 0.5022 0.1603  1 O 2.17
Hg 0.4781 0.6603 0.1581  1 O 2.17
Hg 0.9978 0.6800 0.6581  1 O 2.17
Hg 0.4978 0.8397 0.3178  1 O 2.17
Hg 0.9978 0.8178 0.3397  1 O 2.17
Hg 0.6581 0.9978 0.6800  1 O 2.17
Hg 0.5219 0.3397 0.8419  1 O 2.17
Hg 0.3397 0.9978 0.8178  1 O 2.17
Hg 0.1800 0.1822 0.0219  1 O 2.17
Hg 0.5219 0.6822 0.6800  1 O 2.17
Hg 0.6800 0.5219 0.6822  1 O 2.17
Hg 0.8397 0.3178 0.4978  1 O 2.17
Hg 0.3178 0.4978 0.8397  1 O 2.17
Hg 0.0022 0.3200 0.3419  1 O 2.17
Hg 0.9781 0.8200 0.8178  1 O 2.17
Hg 0.3200 0.3419 0.0022  1 O 2.17
Hg 0.1581 0.1800 0.4978  1 O 2.17
Hg 0.8178 0.9781 0.8200  1 O 2.17
Hg 0.3419 0.8397 0.0219  1 O 2.17
Hg 0.8200 0.5022 0.8419  1 O 2.17
Hg 0.8200 0.8178 0.9781  1 O 2.17
Hg 0.8419 0.8200 0.5022  1 O 2.17
Hg 0.9781 0.6581 0.1603  1 O 2.17
Hg 0.4978 0.1581 0.1800  1 O 2.17
Hg 0.0219 0.3419 0.8397  1 O 2.17
Hg 0.1603 0.9781 0.6581  1 O 2.17
Hg 0.6603 0.0022 0.1822  1 O 2.17
Hg 0.5022 0.8419 0.8200  1 O 2.17
Hg 0.8397 0.0219 0.3419  1 O 2.17
Hg 0.4781 0.3178 0.3200  1 O 2.17
Hg 0.8419 0.5219 0.3397  1 O 2.17
Hg 0.1800 0.4978 0.1581  1 O 2.17
Hg 0.6822 0.6800 0.5219  1 O 2.17
Cl 0.9869 0.5131 0.7500  6 Hg 3.04-3.19
Cl 0.4737 0.4869 0.7369  6 Hg 3.04-3.19
Cl 0.2369 0.7500 0.2631  6 Hg 3.04-3.19
Cl 0.2500 0.0131 0.4869  6 Hg 3.04-3.19
Cl 0.2631 0.2369 0.7500  6 Hg 3.04-3.19
Cl 0.9737 0.2369 0.9869  6 Hg 3.04-3.19
Cl 0.7631 0.2500 0.7369  6 Hg 3.04-3.19
Cl 0.2369 0.9869 0.9737  6 Hg 3.04-3.19
Cl 0.5131 0.7500 0.9869  6 Hg 3.04-3.19
Cl 0.2500 0.7369 0.7631  6 Hg 3.04-3.19
Cl 0.9869 0.9737 0.2369  6 Hg 3.04-3.19
Cl 0.7369 0.7631 0.2500  6 Hg 3.04-3.19
Cl 0.2631 0.5263 0.5131  6 Hg 3.04-3.19
Cl 0.7631 0.0131 0.0263  6 Hg 3.04-3.19
Cl 0.0131 0.0263 0.7631  6 Hg 3.04-3.19
Cl 0.4869 0.2500 0.0131  6 Hg 3.04-3.19
Cl 0.7500 0.9869 0.5131  6 Hg 3.04-3.19
Cl 0.0131 0.4869 0.2500  6 Hg 3.04-3.19
Cl 0.7369 0.4737 0.4869  6 Hg 3.04-3.19
Cl 0.5263 0.5131 0.2631  6 Hg 3.04-3.19
Cl 0.7500 0.2631 0.2369  6 Hg 3.04-3.19
Cl 0.4869 0.7369 0.4737  6 Hg 3.04-3.19
Cl 0.0263 0.7631 0.0131  6 Hg 3.04-3.19
Cl 0.5131 0.2631 0.5263  6 Hg 3.04-3.19
O 0.0000 0.9031 0.5000  3 Hg 2.17
O 0.0000 0.0969 0.5000  3 Hg 2.17
O 0.5969 0.5000 0.0000  3 Hg 2.17
O 0.4031 0.5000 0.0000  3 Hg 2.17
O 0.4031 0.4031 0.4031  3 Hg 2.17
O 0.5000 0.0000 0.0969  3 Hg 2.17
O 0.5969 0.5969 0.5969  3 Hg 2.17
O 0.0000 0.5969 0.5000  3 Hg 2.17
O 0.0969 0.0969 0.0969  3 Hg 2.17
O 0.5000 0.0000 0.4031  3 Hg 2.17
O 0.0000 0.4031 0.5000  3 Hg 2.17
O 0.5000 0.0000 0.9031  3 Hg 2.17
O 0.9031 0.5000 0.0000  3 Hg 2.17
O 0.5000 0.0000 0.5969  3 Hg 2.17
O 0.0969 0.5000 0.0000  3 Hg 2.17
O 0.9031 0.9031 0.9031  3 Hg 2.17

Entry 2:
# KNaEuTaO5

An optimized crystal structure of KNaEuTaO5 (GGA-PBE, the Materials Project database).

ΔE_f: -2.927 eV per atom
Uncorrected energy: -144.39 eV per cell
Density: 5.64 g/cm3
Space group: P4/nmm (129)

Cell lengths 5.7629, 5.7629, 8.4162 Å; angles 90.00, 90.00, 90.00 degrees
Last column: nearest neighbours and their distance in Å.
Element x y z (fractional)
K 0.0000 0.0000 0.0000  4 O 2.90
K 0.5000 0.5000 0.0000  4 O 2.90
Na 0.0000 0.5000 0.2418  5 O 2.33-2.37
Na 0.5000 0.0000 0.7582  5 O 2.33-2.37
Eu 0.0000 0.0000 0.5000  8 O 2.48
Eu 0.5000 0.5000 0.5000  8 O 2.48
Ta 0.0000 0.5000 0.7381  5 O 1.87-1.97
Ta 0.5000 0.0000 0.2619  5 O 1.87-1.97
O 0.7700 0.2700 0.6678  1 Ta 1.97
O 0.2300 0.2700 0.6678  1 Ta 1.97
O 0.7700 0.7300 0.6678  1 Ta 1.97
O 0.2300 0.7300 0.6678  1 Ta 1.97
O 0.7300 0.2300 0.3322  1 Ta 1.97
O 0.2700 0.2300 0.3322  1 Ta 1.97
O 0.7300 0.7700 0.3322  1 Ta 1.97
O 0.2700 0.7700 0.3322  1 Ta 1.97
O 0.0000 0.5000 0.9599  1 Ta 1.87
O 0.5000 0.0000 0.0401  1 Ta 1.87

Entry 3:
# NaCuP4O12

An optimized crystal structure of NaCuP4O12 (GGA-PBE, the Materials Project database).

ΔE_f: -2.328 eV per atom
Uncorrected energy: -240.22 eV per cell
Density: 2.70 g/cm3
Space group: Cc (9)

Cell lengths 8.0816, 8.0816, 8.0139 Å; angles 86.90, 86.90, 108.34 degrees
Last column: nearest neighbours and their distance in Å.
Element x y z (fractional)
Na 0.4779 0.1898 0.1962  4 O 2.22-2.40
Na 0.1898 0.4779 0.6962  4 O 2.22-2.40
Cu 0.8566 0.1315 0.7564  4 O 1.86-1.90
Cu 0.1315 0.8566 0.2564  4 O 1.86-1.90
P 0.9399 0.7882 0.6779  4 O 1.48-1.62
P 0.7531 0.4464 0.8750  4 O 1.47-1.62
P 0.5547 0.2439 0.6211  4 O 1.47-1.62
P 0.7882 0.9399 0.1779  4 O 1.48-1.62
P 0.2132 0.0608 0.8250  4 O 1.48-1.60
P 0.4464 0.7531 0.3750  4 O 1.47-1.62
P 0.2439 0.5547 0.1211  4 O 1.47-1.62
P 0.0608 0.2132 0.3250  4 O 1.48-1.60
O 0.8735 0.1258 0.2557  2 P 1.60-1.62
O 0.8935 0.3645 0.8129  1 P 1.56
O 0.9628 0.7017 0.5239  1 P 1.48
O 0.8402 0.6536 0.8343  2 P 1.61
O 0.9279 0.8495 0.1534  1 P 1.54
O 0.6349 0.1043 0.6844  1 P 1.54
O 0.8495 0.9279 0.6534  1 P 1.54
O 0.6829 0.4081 0.0506  1 P 1.47
O 0.6021 0.4009 0.7448  2 P 1.62
O 0.5802 0.3052 0.4425  1 P 1.47
O 0.6536 0.8402 0.3343  2 P 1.61
O 0.7017 0.9628 0.0239  1 P 1.48
O 0.3008 0.0492 0.9810  1 P 1.48
O 0.3460 0.1615 0.6689  2 P 1.60-1.62
O 0.4081 0.6829 0.5506  1 P 1.47
O 0.4009 0.6021 0.2448  2 P 1.62
O 0.3052 0.5802 0.9425  1 P 1.47
O 0.1557 0.0748 0.3401  1 P 1.55
O 0.3645 0.8935 0.3129  1 P 1.56
O 0.0748 0.1557 0.8401  1 P 1.55
O 0.1615 0.3460 0.1689  2 P 1.60-1.62
O 0.0492 0.3008 0.4810  1 P 1.48
O 0.1043 0.6349 0.1844  1 P 1.54
O 0.1258 0.8735 0.7557  2 P 1.60-1.62